VASP calculation (meta-GGA r2SCAN) on HgI2 after structural relaxation.

```
HgI2
1.0
-8.060 2.917 -2.687
1.932 -2.434 -8.429
-1.846 -11.800 7.789
I Hg
16 8
Direct
0.385 0.115 0.750
0.994 0.244 0.488
0.136 0.887 0.252
0.387 0.636 0.751
0.256 0.506 0.012
0.744 0.494 0.987
0.745 0.994 0.989
0.506 0.755 0.511
0.135 0.365 0.250
0.494 0.244 0.489
0.865 0.635 0.750
0.615 0.885 0.250
0.256 0.006 0.011
0.613 0.364 0.248
0.006 0.756 0.513
0.864 0.113 0.749
0.187 0.191 0.875
0.691 0.687 0.375
0.813 0.809 0.125
0.309 0.313 0.625
0.188 0.685 0.875
0.816 0.312 0.625
0.812 0.316 0.125
0.184 0.688 0.375
```

Calculated values
* formation enthalpy at 0 K: -1.05 eV per formula unit
* magnetic moment: 0.000 μB/atom
* space-group type: C2 (5)

VASP calculation (meta-GGA r2SCAN) on GdH3 after structural relaxation.

```
GdH3
1.0
6.431 0.000 0.000
-3.215 5.569 0.000
0.000 0.000 6.693
H Gd
18 6
Direct
0.027 0.349 0.908
0.651 0.973 0.408
0.349 0.322 0.092
0.678 0.027 0.092
0.678 0.651 0.592
0.667 0.333 0.812
0.027 0.678 0.408
0.000 0.000 0.750
0.000 0.000 0.250
0.333 0.667 0.188
0.333 0.667 0.688
0.973 0.322 0.592
0.349 0.027 0.592
0.973 0.651 0.092
0.322 0.349 0.408
0.322 0.973 0.908
0.651 0.678 0.908
0.667 0.333 0.312
0.000 0.336 0.250
0.336 0.000 0.250
0.664 0.664 0.250
0.000 0.664 0.750
0.336 0.336 0.750
0.664 0.000 0.750
```

Calculated values
* formation enthalpy at 0 K: -2.70 eV per formula unit
* magnetic moment: 1.750 μB/atom
* space-group type: P-3c1 (165)

Copy entry 1 word for word.
VASP calculation (meta-GGA r2SCAN) on HgI2 after structural relaxation.

```
HgI2
1.0
-8.060 2.917 -2.687
1.932 -2.434 -8.429
-1.846 -11.800 7.789
I Hg
16 8
Direct
0.385 0.115 0.750
0.994 0.244 0.488
0.136 0.887 0.252
0.387 0.636 0.751
0.256 0.506 0.012
0.744 0.494 0.987
0.745 0.994 0.989
0.506 0.755 0.511
0.135 0.365 0.250
0.494 0.244 0.489
0.865 0.635 0.750
0.615 0.885 0.250
0.256 0.006 0.011
0.613 0.364 0.248
0.006 0.756 0.513
0.864 0.113 0.749
0.187 0.191 0.875
0.691 0.687 0.375
0.813 0.809 0.125
0.309 0.313 0.625
0.188 0.685 0.875
0.816 0.312 0.625
0.812 0.316 0.125
0.184 0.688 0.375
```

Calculated values
* formation enthalpy at 0 K: -1.05 eV per formula unit
* magnetic moment: 0.000 μB/atom
* space-group type: C2 (5)

Q: magnetic moment of number 1 (HgI2)?
A: 0.000 μB/atom